Material: Ca4Cd3Au5
Method: DFT, PBE
State: relaxed

Structure (extended XYZ):
```
12
Lattice="7.422 0.000 0.000 0.000 4.382 0.000 -0.026 0.000 8.835" Properties=species:S:1:pos:R:3 pbc="T T T"
Ca 0.000 0.000 0.000
Ca 0.570 2.191 3.314
Ca 3.572 0.000 7.662
Ca 4.235 2.191 4.522
Cd 2.920 0.000 2.212
Cd 5.033 2.191 1.135
Cd 6.647 0.000 5.563
Au 1.325 2.191 6.646
Au 2.100 0.000 4.927
Au 2.115 2.191 0.575
Au 5.821 0.000 2.811
Au 5.803 2.191 7.221
```

## Properties
- E_tot (eV/atom) = -2.907
- volume (Å³ per atom) = 23.95
- crystal system = monoclinic
- E_form (kJ/mol of formula units) = -745

Material: SrCu2O3
Method: DFT, PBE
State: relaxed

Structure (extended XYZ):
```
12
Lattice="3.975 0.000 0.000 0.000 11.572 0.000 0.000 0.000 3.563" Properties=species:S:1:pos:R:3 pbc="T T T"
Sr 0.994 2.893 0.060
Sr 2.981 8.679 3.503
Cu 0.994 6.770 1.737
Cu 0.994 10.589 1.737
Cu 2.981 0.983 1.826
Cu 2.981 4.803 1.826
O 0.994 0.923 1.813
O 0.994 4.863 1.813
O 0.994 8.679 1.666
O 2.981 2.893 1.897
O 2.981 6.709 1.750
O 2.981 10.649 1.750
```

## Properties
- E_tot (eV/atom) = -5.461
- volume (Å³ per atom) = 13.66
- crystal system = orthorhombic
- E_form (kJ/mol of formula units) = -974

Material: LaCeC4
Method: DFT, PBE
State: relaxed

Structure (extended XYZ):
```
12
Lattice="5.486 0.000 0.000 0.000 6.463 0.000 0.000 0.000 5.487" Properties=species:S:1:pos:R:3 pbc="T T T"
La 0.000 0.000 0.000
La 2.743 3.231 0.000
Ce 0.000 3.231 2.744
Ce 2.743 0.000 2.744
C 0.000 0.656 2.744
C 0.000 2.583 0.000
C 0.000 3.880 0.000
C 0.000 5.807 2.744
C 2.743 0.648 0.000
C 2.743 2.576 2.744
C 2.743 3.887 2.744
C 2.743 5.814 0.000
```

## Properties
- E_tot (eV/atom) = -8.100
- volume (Å³ per atom) = 16.21
- magnetization (Bohr magnetons per cell) = 0.4
- crystal system = orthorhombic
- E_form (kJ/mol of formula units) = -78

Material: Al2O3
Method: DFT, PBE
State: relaxed

Structure (extended XYZ):
```
10
Lattice="1.337 -4.477 0.000 1.337 4.477 0.000 0.000 0.000 7.045" Properties=species:S:1:pos:R:3 pbc="T T T"
Al 0.000 0.000 0.000
Al 0.000 0.000 3.523
Al 1.337 2.274 5.284
Al 1.337 -2.274 1.761
O 1.337 3.516 1.761
O 1.337 1.193 0.564
O 1.337 1.193 2.958
O 1.337 -1.193 4.087
O 1.337 -1.193 6.481
O 1.337 -3.516 5.284
```

## Properties
- E_tot (eV/atom) = -7.201
- volume (Å³ per atom) = 8.43
- magnetization (Bohr magnetons per cell) = 0.0
- crystal system = orthorhombic
- E_form (kJ/mol of formula units) = -1518

Material: Tm5Pt3
Method: DFT, PBE
State: relaxed

Structure (extended XYZ):
```
16
Lattice="8.361 0.000 0.000 -4.181 7.241 0.000 0.000 0.000 6.074" Properties=species:S:1:pos:R:3 pbc="T T T"
Tm -1.027 1.780 1.519
Tm -3.153 5.461 4.556
Tm 2.055 0.000 1.519
Tm 1.027 1.780 4.556
Tm 0.000 4.827 0.000
Tm 0.000 4.827 3.037
Tm 4.181 2.414 0.000
Tm 4.181 2.414 3.037
Tm 6.306 0.000 4.556
Tm 3.153 5.461 1.519
Pt -1.649 2.857 4.556
Pt -2.531 4.384 1.519
Pt 3.298 0.000 4.556
Pt 1.649 2.857 1.519
Pt 5.063 0.000 1.519
Pt 2.531 4.384 4.556
```

## Properties
- E_tot (eV/atom) = -6.127
- volume (Å³ per atom) = 22.98
- crystal system = hexagonal
- E_form (kJ/mol of formula units) = -813

Material: CePO4
Method: DFT, PBE
State: relaxed

Structure (extended XYZ):
```
24
Lattice="6.508 0.000 0.000 0.000 7.091 0.000 -4.843 0.000 6.693" Properties=species:S:1:pos:R:3 pbc="T T T"
Ce -0.169 1.120 1.919
Ce -2.591 2.425 5.266
Ce 4.256 4.666 1.427
Ce 1.834 5.970 4.774
P 1.048 4.692 1.308
P -1.374 5.944 4.654
P 3.038 1.147 2.039
P 0.617 2.399 5.385
O -2.235 4.748 4.134
O 0.186 5.888 0.787
O 0.024 3.584 1.670
O -2.397 7.052 5.016
O 2.043 4.273 0.189
O -0.379 6.363 3.536
O 2.108 1.503 0.856
O -0.314 2.042 4.203
O 1.978 5.049 2.490
O -0.443 5.588 5.837
O 2.043 0.728 3.157
O -0.378 2.818 6.503
O 4.062 0.039 1.676
O 1.640 3.507 5.023
O 1.478 1.203 5.906
O 3.900 2.343 2.559
```

## Properties
- E_tot (eV/atom) = -8.135
- volume (Å³ per atom) = 12.87
- crystal system = monoclinic
- E_form (kJ/mol of formula units) = -1970

Material: HfMg14Co
Method: DFT, PBE
State: relaxed

Structure (extended XYZ):
```
16
Lattice="10.081 0.000 0.000 0.000 3.046 5.579 0.000 -3.046 5.579" Properties=species:S:1:pos:R:3 pbc="T T T"
Hf 0.000 0.000 0.000
Mg 0.000 -1.456 2.780
Mg 0.000 1.456 2.780
Mg 2.241 0.000 7.111
Mg 2.413 -1.508 4.485
Mg 2.413 1.508 4.485
Mg 2.579 0.000 1.660
Mg 5.041 0.000 5.452
Mg 5.041 -1.500 8.242
Mg 5.041 1.500 8.242
Mg 5.041 0.000 10.992
Mg 7.502 0.000 1.660
Mg 7.668 -1.508 4.485
Mg 7.668 1.508 4.485
Mg 7.840 0.000 7.111
Co 0.000 0.000 5.390
```

## Properties
- E_tot (eV/atom) = -2.381
- volume (Å³ per atom) = 21.41
- magnetization (Bohr magnetons per cell) = 0.0
- crystal system = orthorhombic
- E_form (kJ/mol of formula units) = 133

Material: IrO3
Method: DFT, PBE
State: relaxed

Structure (extended XYZ):
```
16
Lattice="3.763 0.000 0.000 0.000 7.353 0.000 0.000 0.000 7.372" Properties=species:S:1:pos:R:3 pbc="T T T"
Ir 0.000 1.823 0.000
Ir 0.000 1.853 3.686
Ir 0.000 5.500 3.686
Ir 0.000 5.530 0.000
O 0.000 0.000 0.685
O 0.000 0.000 3.179
O 0.000 1.241 5.563
O 0.000 2.436 1.877
O 0.000 3.677 4.372
O 0.000 3.677 6.865
O 0.000 4.918 1.877
O 0.000 6.112 5.563
O 1.882 1.823 0.033
O 1.882 1.854 3.719
O 1.882 5.500 3.719
O 1.882 5.531 0.033
```

## Properties
- E_tot (eV/atom) = -6.344
- volume (Å³ per atom) = 12.75
- crystal system = orthorhombic
- E_form (kJ/mol of formula units) = -362

Material: Bi2Pd5
Method: DFT, PBE
State: relaxed

Structure (extended XYZ):
```
14
Lattice="7.203 -2.957 0.000 7.203 2.957 0.000 -3.136 0.000 6.121" Properties=species:S:1:pos:R:3 pbc="T T T"
Bi 0.154 0.000 2.485
Bi 4.868 0.000 0.878
Bi 6.401 0.000 5.244
Bi 11.115 0.000 3.636
Pd 1.643 1.467 4.493
Pd -0.779 0.000 5.268
Pd 7.203 1.485 0.000
Pd 3.986 0.000 3.597
Pd 9.626 1.467 1.628
Pd 1.643 -1.467 4.493
Pd 7.284 0.000 2.525
Pd 7.203 -1.485 0.000
Pd 12.048 0.000 0.853
Pd 9.626 -1.467 1.628
```

## Properties
- E_tot (eV/atom) = -5.086
- volume (Å³ per atom) = 18.63
- crystal system = monoclinic
- E_form (kJ/mol of formula units) = -186

Material: Y6Al43W4
Method: DFT, PBE
State: relaxed

Structure (extended XYZ):
```
106
Lattice="11.071 0.000 0.000 -5.535 9.588 0.000 0.000 0.000 17.609" Properties=species:S:1:pos:R:3 pbc="T T T"
Y -2.594 4.494 1.685
Y -2.594 4.494 7.119
Y -2.941 5.094 10.490
Y -2.941 5.094 15.924
Y 5.189 0.000 1.685
Y 5.189 0.000 7.119
Y 2.594 4.494 10.490
Y 2.594 4.494 15.924
Y 5.882 0.000 10.490
Y 5.882 0.000 15.924
Y 2.941 5.094 1.685
Y 2.941 5.094 7.119
Al -0.817 1.416 13.207
Al -0.883 1.529 2.018
Al -0.883 1.529 6.787
Al -1.407 2.437 9.341
Al -1.407 2.437 17.073
Al -4.128 7.151 0.536
Al -4.128 7.151 8.269
Al -4.653 8.058 10.823
Al -4.653 8.058 15.591
Al -4.718 8.172 4.402
Al -1.424 5.288 4.402
Al -1.668 5.710 13.207
Al 1.635 0.000 13.207
Al 0.817 1.416 4.402
Al -0.434 3.785 11.686
Al -0.434 3.785 14.728
Al -2.475 7.320 2.881
Al -2.475 7.320 5.924
Al 1.766 0.000 2.018
Al 1.766 0.000 6.787
Al 0.883 1.529 10.823
Al 0.883 1.529 15.591
Al 0.434 3.785 2.881
Al 0.434 3.785 5.924
Al -2.041 8.071 11.686
Al -2.041 8.071 14.728
Al 0.000 4.736 0.000
Al 0.000 4.736 8.805
Al -1.434 7.219 0.000
Al -1.434 7.219 8.805
Al 2.814 0.000 9.341
Al 2.814 0.000 17.073
Al 1.407 2.437 0.536
Al 1.407 2.437 8.269
Al 0.000 6.392 2.220
Al 0.000 6.392 6.584
Al 0.000 6.392 11.025
Al 0.000 6.392 15.389
Al 3.494 1.517 11.686
Al 3.494 1.517 14.728
Al 3.061 2.268 2.881
Al 3.061 2.268 5.924
Al 1.424 5.288 13.207
Al -0.244 8.177 4.402
Al 1.668 5.710 4.402
Al 0.244 8.177 13.207
Al 4.102 2.368 0.000
Al 4.102 2.368 8.805
Al 1.434 7.219 0.000
Al 1.434 7.219 8.805
Al 5.291 1.410 4.402
Al 3.867 3.877 13.207
Al 5.779 1.410 13.207
Al 4.111 4.300 4.402
Al 2.475 7.320 11.686
Al 2.475 7.320 14.728
Al 2.041 8.071 2.881
Al 2.041 8.071 5.924
Al 5.535 3.196 2.220
Al 5.535 3.196 6.584
Al 5.535 3.196 11.025
Al 5.535 3.196 15.389
Al 8.257 0.000 0.536
Al 8.257 0.000 8.269
Al 4.128 7.151 9.341
Al 4.128 7.151 17.073
Al 6.969 2.368 0.000
Al 6.969 2.368 8.805
Al 5.535 4.851 0.000
Al 5.535 4.851 8.805
Al 7.576 1.517 2.881
Al 7.576 1.517 5.924
Al 5.102 5.803 11.686
Al 5.102 5.803 14.728
Al 9.305 0.000 10.823
Al 9.305 0.000 15.591
Al 4.653 8.058 2.018
Al 4.653 8.058 6.787
Al 8.010 2.268 11.686
Al 8.010 2.268 14.728
Al 5.969 5.803 2.881
Al 5.969 5.803 5.924
Al 9.436 0.000 4.402
Al 4.718 8.172 13.207
Al 7.203 3.877 4.402
Al 6.960 4.300 13.207
W 0.000 0.000 0.000
W 0.000 0.000 8.805
W -1.500 2.598 4.402
W -4.035 6.990 13.207
W 3.000 0.000 4.402
W 1.500 2.598 13.207
W 8.071 0.000 13.207
W 4.035 6.990 4.402
```

## Properties
- E_tot (eV/atom) = -5.027
- volume (Å³ per atom) = 17.63
- magnetization (Bohr magnetons per cell) = 0.3
- crystal system = hexagonal
- E_form (kJ/mol of formula units) = -1424